Density functional theory data (PBE) for a geometry-optimized MgTi3P2S4O24 structure.

theoretical density = 2.58 g cm⁻³
formation energy from the elements = -2564.5 meV per atom

Cell and atoms, written as CIF:
```
data_MgTi3P2S4O24
_space_group_name_H-M_alt 'P 1'
_space_group_IT_number 1
_cell_length_a 8.610
_cell_length_b 8.615
_cell_length_c 22.261
_cell_angle_alpha 90.05
_cell_angle_beta 90.02
_cell_angle_gamma 119.92
loop_
_space_group_symop_operation_xyz
'x,y,z'
loop_
_atom_site_label
_atom_site_fract_x
_atom_site_fract_y
_atom_site_fract_z
Mg1 0.000 0.000 0.000
Mg2 0.005 0.999 0.499
Mg3 0.667 0.334 0.831
Ti1 0.020 0.010 0.712
Ti2 0.334 0.669 0.374
Ti3 0.336 0.659 0.880
Ti4 0.340 0.669 0.666
Ti5 0.342 0.675 0.166
Ti6 0.662 0.328 0.545
Ti7 0.667 0.325 0.044
Ti8 0.670 0.335 0.327
Ti9 0.994 0.004 0.212
P1 0.054 0.386 0.271
P2 0.288 0.998 0.603
P3 0.333 0.953 0.271
P4 0.339 0.386 0.771
P5 0.620 0.668 0.271
P6 0.717 0.999 0.103
S1 0.002 0.713 0.104
S2 0.004 0.290 0.604
S3 0.051 0.668 0.771
S4 0.291 0.291 0.104
S5 0.380 0.045 0.937
S6 0.384 0.337 0.437
S7 0.625 0.953 0.771
S8 0.669 0.049 0.437
S9 0.673 0.622 0.937
S10 0.716 0.715 0.604
S11 0.954 0.618 0.437
S12 0.955 0.333 0.937
O1 0.034 0.199 0.261
O2 0.034 0.832 0.762
O3 0.037 0.215 0.551
O4 0.039 0.822 0.051
O5 0.133 0.633 0.429
O6 0.136 0.502 0.215
O7 0.137 0.504 0.930
O8 0.138 0.645 0.717
O9 0.159 0.472 0.615
O10 0.159 0.687 0.115
O11 0.163 0.201 0.760
O12 0.167 0.707 0.825
O13 0.170 0.974 0.260
O14 0.172 0.470 0.327
O15 0.175 0.962 0.549
O16 0.184 0.215 0.051
O17 0.203 0.035 0.660
O18 0.205 0.021 0.948
O19 0.209 0.181 0.444
O20 0.213 0.177 0.158
O21 0.301 0.834 0.327
O22 0.302 0.473 0.827
O23 0.314 0.472 0.114
O24 0.319 0.841 0.619
O25 0.357 0.502 0.715
O26 0.368 0.866 0.929
O27 0.370 0.869 0.216
O28 0.373 0.502 0.430
O29 0.462 0.155 0.884
O30 0.472 0.310 0.384
O31 0.474 0.313 0.096
O32 0.478 0.167 0.594
O33 0.497 0.361 0.777
O34 0.500 0.130 0.992
O35 0.500 0.138 0.283
O36 0.500 0.367 0.492
O37 0.502 0.633 0.216
O38 0.504 0.638 0.929
O39 0.504 0.871 0.430
O40 0.510 0.867 0.717
O41 0.527 0.841 0.117
O42 0.533 0.688 0.615
O43 0.535 0.702 0.327
O44 0.542 0.838 0.824
O45 0.635 0.506 0.991
O46 0.638 0.134 0.492
O47 0.642 0.503 0.282
O48 0.645 0.129 0.778
O49 0.694 0.169 0.094
O50 0.695 0.161 0.384
O51 0.695 0.532 0.596
O52 0.697 0.541 0.883
O53 0.788 0.823 0.551
O54 0.792 0.964 0.048
O55 0.801 0.964 0.760
O56 0.807 0.832 0.261
O57 0.823 0.800 0.946
O58 0.826 0.030 0.446
O59 0.828 0.794 0.658
O60 0.836 0.035 0.160
O61 0.840 0.531 0.095
O62 0.842 0.312 0.596
O63 0.842 0.530 0.383
O64 0.849 0.308 0.883
O65 0.866 0.361 0.282
O66 0.871 0.504 0.491
O67 0.873 0.368 0.991
O68 0.876 0.512 0.778
O69 0.968 0.176 0.658
O70 0.970 0.794 0.158
O71 0.972 0.794 0.444
O72 0.986 0.185 0.946
```